(1)
PBE GdCuSe2, relaxed; raw total energy = -7.53 eV per atom
1.0
7.3766 0.0000 0.0000
0.0000 6.6747 0.0000
0.0000 0.8091 7.0631
Gd Cu Se
4 4 8
Direct
0.9551 0.8044 0.8004
0.4551 0.1956 0.6996
0.0449 0.1956 0.1996
0.5449 0.8044 0.3004
0.8422 0.4238 0.5481
0.3422 0.5762 0.9519
0.1578 0.5762 0.4519
0.6578 0.4238 0.0481
0.3873 0.4029 0.2816
0.8873 0.5971 0.2184
0.6127 0.5971 0.7184
0.1127 0.4029 0.7816
0.7747 0.0745 0.5021
0.2747 0.9255 0.9979
0.2253 0.9255 0.4979
0.7253 0.0745 0.0021

***

(2)
PBE Th4SiGe, relaxed; raw total energy = -7.16 eV per atom; magnetization = 0.0 Bohr magnetons per cell
1.0
-3.7044 3.7044 3.0210
3.7044 -3.7044 3.0210
3.7044 3.7044 -3.0210
Th Si Ge
4 1 1
Direct
0.9144 0.4144 0.8287
0.5856 0.0856 0.1713
0.0856 0.9144 0.5000
0.4144 0.5856 0.5000
0.5000 0.5000 0.0000
0.0000 0.0000 0.0000

***

(3)
PBE Ca3YN3, relaxed; raw total energy = -6.14 eV per atom; magnetization = 0.0 Bohr magnetons per cell
1.0
7.8361 0.4437 0.0000
-3.5212 6.4640 0.0000
0.0000 0.0000 4.7619
Ca Y N
6 2 6
Direct
0.9767 0.6434 0.2500
0.6827 0.0728 0.2500
0.2046 0.1394 0.2500
0.0233 0.3566 0.7500
0.3173 0.9272 0.7500
0.7954 0.8606 0.7500
0.6358 0.4161 0.7500
0.3642 0.5839 0.2500
0.9627 0.6685 0.7500
0.6750 0.1390 0.7500
0.3169 0.2954 0.7500
0.0373 0.3315 0.2500
0.3250 0.8610 0.2500
0.6831 0.7046 0.2500

***

(4)
PBE CeP5O14, relaxed; raw total energy = -7.44 eV per atom; ΔE to the lowest computed polymorph = 0.10 eV/f.u.; magnetization = 4.0 Bohr magnetons per cell
1.0
9.2557 0.0000 0.0000
0.0000 8.9420 0.0000
0.0000 0.0978 13.1787
Ce P O
4 20 56
Direct
0.1880 0.2230 0.9989
0.6880 0.7770 0.5011
0.8120 0.7770 0.0011
0.3120 0.2230 0.4989
0.2475 0.8138 0.9998
0.7475 0.1862 0.5002
0.7525 0.1862 0.0002
0.2525 0.8138 0.4998
0.5472 0.2558 0.8361
0.0472 0.7442 0.6639
0.4528 0.7442 0.1639
0.9528 0.2558 0.3361
0.0051 0.9928 0.2053
0.5051 0.0072 0.2947
0.9949 0.0072 0.7947
0.4949 0.9928 0.7053
0.5503 0.2722 0.1628
0.0503 0.7278 0.3372
0.4497 0.7278 0.8372
0.9497 0.2722 0.6628
0.0019 0.4941 0.1764
0.5019 0.5059 0.3236
0.9981 0.5059 0.8236
0.4981 0.4941 0.6764
0.3164 0.7078 0.9108
0.8164 0.2922 0.5892
0.6836 0.2922 0.0892
0.1836 0.7078 0.4108
0.3124 0.9665 0.9948
0.8124 0.0335 0.5052
0.6876 0.0335 0.0052
0.1876 0.9665 0.4948
0.3114 0.7221 0.0985
0.8114 0.2779 0.4015
0.6886 0.2779 0.9015
0.1886 0.7221 0.5985
0.5805 0.3690 0.7469
0.0805 0.6310 0.7531
0.4195 0.6310 0.2531
0.9195 0.3690 0.2469
0.5725 0.0946 0.7914
0.0725 0.9054 0.7086
0.4275 0.9054 0.2086
0.9275 0.0946 0.2914
0.4088 0.2784 0.8896
0.9088 0.7216 0.6104
0.5912 0.7216 0.1104
0.0912 0.2784 0.3896
0.1163 0.0836 0.1514
0.6163 0.9164 0.3486
0.8837 0.9164 0.8486
0.3837 0.0836 0.6514
0.0941 0.8742 0.2759
0.5941 0.1258 0.2241
0.9059 0.1258 0.7241
0.4059 0.8742 0.7759
0.4063 0.2703 0.1149
0.9063 0.7297 0.3851
0.5937 0.7297 0.8851
0.0937 0.2703 0.6149
0.5816 0.4065 0.2364
0.0816 0.5935 0.2636
0.4184 0.5935 0.7636
0.9184 0.4065 0.7364
0.1197 0.4205 0.1182
0.6197 0.5795 0.3818
0.8803 0.5795 0.8818
0.3803 0.4205 0.6182
0.9110 0.2126 0.0009
0.4110 0.7874 0.4991
0.0890 0.7874 0.9991
0.5890 0.2126 0.5009
0.1136 0.0870 0.8479
0.6136 0.9130 0.6521
0.8864 0.9130 0.1521
0.3864 0.0870 0.3479
0.1140 0.4174 0.8743
0.6140 0.5826 0.6257
0.8860 0.5826 0.1257
0.3860 0.4174 0.3743

***

(5)
PBE LaCe3B24, relaxed; raw total energy = -7.06 eV per atom; magnetization = 1.9 Bohr magnetons per cell
1.0
4.1222 0.0000 0.0000
0.0000 4.1222 0.0000
0.0000 0.0000 16.4966
La Ce B
1 3 24
Direct
0.0000 0.0000 0.0000
0.0000 0.0000 0.2506
0.0000 0.0000 0.5000
0.0000 0.0000 0.7494
0.5000 0.5000 0.2004
0.5000 0.5000 0.4503
0.5000 0.5000 0.7003
0.5000 0.5000 0.9499
0.5000 0.1994 0.1254
0.5000 0.1989 0.3750
0.5000 0.1989 0.6250
0.5000 0.1994 0.8746
0.1994 0.5000 0.1254
0.1989 0.5000 0.3750
0.1989 0.5000 0.6250
0.1994 0.5000 0.8746
0.5000 0.5000 0.0501
0.5000 0.5000 0.2997
0.5000 0.5000 0.5497
0.5000 0.5000 0.7996
0.5000 0.8006 0.1254
0.5000 0.8011 0.3750
0.5000 0.8011 0.6250
0.5000 0.8006 0.8746
0.8006 0.5000 0.1254
0.8011 0.5000 0.3750
0.8011 0.5000 0.6250
0.8006 0.5000 0.8746

***

(6)
PBE ZrGa5Co, relaxed; raw total energy = -4.82 eV per atom
1.0
4.1317 0.0000 0.0000
0.0000 4.1317 0.0000
0.0000 0.0000 6.7007
Zr Ga Co
1 5 1
Direct
0.0000 0.0000 0.0000
0.0000 0.5000 0.3058
0.0000 0.5000 0.6942
0.5000 0.0000 0.3058
0.5000 0.0000 0.6942
0.5000 0.5000 0.0000
0.0000 0.0000 0.5000

***

(7)
PBE LaS2, relaxed; raw total energy = -6.26 eV per atom; magnetization = 0.0 Bohr magnetons per cell
1.0
-1.2425 -2.1739 3.3189
-5.2905 -4.1146 -4.6756
11.5133 -11.2949 -3.0878
La S
8 16
Direct
0.2807 0.6392 0.1415
0.7193 0.3608 0.6415
0.7807 0.8608 0.6415
0.2193 0.1392 0.1415
0.7812 0.8708 0.3643
0.2188 0.1292 0.8643
0.2812 0.6292 0.8643
0.7188 0.3708 0.3643
0.3558 0.8971 0.0033
0.6442 0.1029 0.5033
0.8558 0.6029 0.5033
0.1442 0.3971 0.0033
0.8379 0.6036 0.0028
0.1621 0.3964 0.5028
0.3379 0.8964 0.5028
0.6621 0.1036 0.0028
0.2604 0.6277 0.3204
0.7396 0.3723 0.8204
0.7604 0.8723 0.8204
0.2396 0.1277 0.3204
0.7630 0.8834 0.1857
0.2370 0.1166 0.6857
0.2630 0.6166 0.6857
0.7370 0.3834 0.1857

***

(8)
PBE LiMg6W, relaxed; raw total energy = -2.82 eV per atom; ΔE to the lowest computed polymorph = 0.00 eV/f.u.; magnetization = 0.0 Bohr magnetons per cell
1.0
4.9329 0.0000 0.0000
0.0000 6.1810 0.0000
0.0000 0.0000 10.4954
Li Mg W
2 12 2
Direct
0.0000 0.5000 0.4112
0.0000 0.0000 0.9112
0.0000 0.2665 0.1590
0.0000 0.7335 0.1590
0.0000 0.5000 0.9240
0.5000 0.2489 0.8364
0.5000 0.7511 0.8364
0.5000 0.5000 0.5876
0.0000 0.7665 0.6590
0.0000 0.2335 0.6590
0.0000 0.0000 0.4240
0.5000 0.7489 0.3364
0.5000 0.2511 0.3364
0.5000 0.0000 0.0876
0.5000 0.5000 0.0862
0.5000 0.0000 0.5862

***

(9)
PBE Tm2MgSe4, relaxed; raw total energy = -5.13 eV per atom; ΔE to the lowest computed polymorph = 0.48 eV/f.u.; magnetization = 0.0 Bohr magnetons per cell
1.0
3.9677 0.0000 0.0000
0.0000 13.0341 0.0000
0.0000 0.0000 13.8738
Tm Mg Se
8 4 16
Direct
0.2500 0.1138 0.0757
0.7500 0.8862 0.9243
0.7500 0.3862 0.5757
0.2500 0.6138 0.4243
0.2500 0.1442 0.7021
0.7500 0.8558 0.2979
0.7500 0.3558 0.2021
0.2500 0.6442 0.7979
0.7500 0.1159 0.4424
0.2500 0.8841 0.5576
0.2500 0.3841 0.9424
0.7500 0.6159 0.0576
0.7500 0.0152 0.6141
0.2500 0.9848 0.3859
0.2500 0.4848 0.1141
0.7500 0.5152 0.8859
0.2500 0.0310 0.8808
0.7500 0.9690 0.1192
0.7500 0.4690 0.3808
0.2500 0.5310 0.6192
0.2500 0.2193 0.2520
0.7500 0.7807 0.7480
0.7500 0.2807 0.7520
0.2500 0.7193 0.2480
0.7500 0.2567 0.0152
0.2500 0.7433 0.9848
0.2500 0.2433 0.5152
0.7500 0.7567 0.4848

***

(10)
PBE Sr4ReN4, relaxed; raw total energy = -6.16 eV per atom; magnetization = 4.1 Bohr magnetons per cell
1.0
-5.2963 -0.8631 -7.9438
-0.8245 -3.6330 0.9444
-16.5042 6.4245 10.3056
Sr Re N
16 4 16
Direct
0.5727 0.2500 0.8530
0.0727 0.2500 0.6470
0.4273 0.7500 0.1470
0.9273 0.7500 0.3530
0.6710 0.2500 0.4698
0.1710 0.2500 0.0302
0.3290 0.7500 0.5302
0.8290 0.7500 0.9698
0.8473 0.2500 0.7687
0.3473 0.2500 0.7313
0.1527 0.7500 0.2313
0.6527 0.7500 0.2687
0.8573 0.2500 0.1455
0.3573 0.2500 0.3545
0.1427 0.7500 0.8545
0.6427 0.7500 0.6455
0.5524 0.2500 0.0276
0.0524 0.2500 0.4724
0.4476 0.7500 0.9724
0.9476 0.7500 0.5276
0.1060 0.2500 0.3868
0.6060 0.2500 0.1132
0.8940 0.7500 0.6132
0.3940 0.7500 0.8868
0.0204 0.2500 0.9326
0.5204 0.2500 0.5674
0.9796 0.7500 0.0674
0.4796 0.7500 0.4326
0.8260 0.2500 0.2685
0.3260 0.2500 0.2315
0.1740 0.7500 0.7315
0.6740 0.7500 0.7685
0.9450 0.2500 0.8806
0.4450 0.2500 0.6194
0.0550 0.7500 0.1194
0.5550 0.7500 0.3806

***

Taking the records one at a time from the top gives ΔE_f values of -5.89; -3.28; -6.59; -56.15; -14.73; -2.93; -6.59; 1.87; -13.23; -4.29 eV per formula unit.